The following is a GGA-PBE calculation of a relaxed SmO crystal, from the Materials Project database.

```
2
Lattice="-2.483 -2.483 0.000 -2.483 0.000 -2.483 0.000 -2.483 -2.483" Properties=species:S:1:pos:R:3 pbc="T T T"
Sm 0.000 0.000 0.000
O -2.483 -2.483 -2.483
```

Summary:
**Formation energy**: -3107 meV per atom
**Symmetry**: Fm-3m, No. 225